Compound: PuPO4
Source: Materials Project
Functional: PBE-GGA
Structure: relaxed

Lattice parameters (Å, degrees): 7.0633 6.4663 8.1974 53.79 90.00 90.00
Fractional coordinates of all 24 atoms:
Pu: 0.3387 0.1841 0.7157
Pu: 0.1613 0.1841 0.2157
Pu: 0.6613 0.8159 0.2843
Pu: 0.8387 0.8159 0.7843
P: 0.3353 0.6894 0.6985
P: 0.1647 0.6894 0.1985
P: 0.6647 0.3106 0.3015
P: 0.8353 0.3106 0.8015
O: 0.9922 0.1925 0.7465
O: 0.5078 0.1925 0.2465
O: 0.0078 0.8075 0.2535
O: 0.4922 0.8075 0.7535
O: 0.3940 0.6631 0.5288
O: 0.1060 0.6631 0.0288
O: 0.6060 0.3369 0.4712
O: 0.8940 0.3369 0.9712
O: 0.2854 0.4097 0.8763
O: 0.2146 0.4097 0.3763
O: 0.7146 0.5903 0.1237
O: 0.7854 0.5903 0.6237
O: 0.1650 0.8800 0.6217
O: 0.3350 0.8800 0.1217
O: 0.8350 0.1200 0.3783
O: 0.6650 0.1200 0.8783

Summary:
* MP2020-corrected energy: -9.766 eV per atom
* symmetry: No. 14
* theoretical density: 7.453 g/cm3
* VASP energy: -9.308 eV per atom
* E_form: -3.188 eV/atom

***

Compound: BaCaCeNbO6
Source: Materials Project
Functional: PBE-GGA
Structure: relaxed

Lattice parameters (Å, degrees): 8.4524 8.5088 8.4629 90.00 90.00 90.00
Fractional coordinates of all 40 atoms:
Ba: 0.0000 0.0000 0.0000
Ba: 0.5000 0.5000 0.5000
Ba: 0.5000 0.0000 0.5000
Ba: 0.0000 0.0000 0.5000
Ca: 0.0000 0.5000 0.5000
Ca: 0.5000 0.5000 0.0000
Ca: 0.5000 0.0000 0.0000
Ca: 0.0000 0.5000 0.0000
Ce: 0.7490 0.7453 0.7552
Ce: 0.2510 0.2547 0.7552
Ce: 0.2510 0.7453 0.2448
Ce: 0.7490 0.2547 0.2448
Nb: 0.2480 0.2570 0.2455
Nb: 0.7520 0.7430 0.2455
Nb: 0.7520 0.2570 0.7545
Nb: 0.2480 0.7430 0.7545
O: 0.0148 0.2124 0.2720
O: 0.9852 0.7876 0.2720
O: 0.9852 0.2124 0.7280
O: 0.0148 0.7876 0.7280
O: 0.2938 0.0205 0.1998
O: 0.2938 0.9795 0.8002
O: 0.7062 0.9795 0.1998
O: 0.7062 0.0205 0.8002
O: 0.2003 0.3037 0.0145
O: 0.7997 0.3037 0.9855
O: 0.2003 0.6963 0.9855
O: 0.7997 0.6963 0.0145
O: 0.4821 0.3053 0.2030
O: 0.5179 0.6947 0.2030
O: 0.5179 0.3053 0.7970
O: 0.4821 0.6947 0.7970
O: 0.2042 0.4868 0.3002
O: 0.2042 0.5132 0.6998
O: 0.7958 0.5132 0.3002
O: 0.7958 0.4868 0.6998
O: 0.2822 0.2233 0.4815
O: 0.7178 0.2233 0.5185
O: 0.2822 0.7767 0.5185
O: 0.7178 0.7767 0.4815

Summary:
* MP2020-corrected energy: -8.312 eV per atom
* energy above the lowest structure with this stoichiometry: 0.0 meV/atom
* symmetry: No. 16
* theoretical density: 5.527 g/cm3
* VASP energy: -7.900 eV per atom
* E_form: -3.347 eV/atom

***

Compound: Er2AgRu
Source: Materials Project
Functional: PBE-GGA
Structure: relaxed

Lattice parameters (Å, degrees): 4.9210 4.9210 4.9210 60.00 60.00 60.00
Fractional coordinates of all 4 atoms:
Er: 0.7500 0.7500 0.7500
Er: 0.2500 0.2500 0.2500
Ag: 0.5000 0.5000 0.5000
Ru: 0.0000 0.0000 0.0000

Summary:
* symmetry: No. 225
* theoretical density: 10.709 g/cm3
* VASP energy: -5.707 eV per atom
* E_form: -0.396 eV/atom

***

Compound: Ba2Mg3Si4
Source: Materials Project
Functional: PBE-GGA
Structure: relaxed

Lattice parameters (Å, degrees): 6.5017 6.5017 15.6954 85.41 85.41 41.79
Fractional coordinates of all 18 atoms:
Ba: 0.8422 0.8422 0.5901
Ba: 0.1578 0.1578 0.4099
Ba: 0.9411 0.9411 0.8654
Ba: 0.0589 0.0589 0.1346
Mg: 0.6623 0.6623 0.7946
Mg: 0.3377 0.3377 0.2054
Mg: 0.1066 0.1066 0.6542
Mg: 0.8934 0.8934 0.3458
Mg: 0.2195 0.2195 0.9312
Mg: 0.7805 0.7805 0.0688
Si: 0.2802 0.2802 0.7542
Si: 0.5604 0.5604 0.5572
Si: 0.5989 0.5989 0.9702
Si: 0.4011 0.4011 0.0298
Si: 0.5235 0.5235 0.2956
Si: 0.4765 0.4765 0.7044
Si: 0.4396 0.4396 0.4428
Si: 0.7198 0.7198 0.2458

Summary:
* MP2020-corrected energy: -3.690 eV per atom
* symmetry: No. 12
* theoretical density: 3.467 g/cm3
* VASP energy: -3.722 eV per atom
* E_form: -0.319 eV/atom

***

Compound: Na7Hf3TaSi6O24
Source: Materials Project
Functional: PBE-GGA
Structure: relaxed

Lattice parameters (Å, degrees): 9.1646 9.1632 22.8164 90.05 89.92 120.06
Fractional coordinates of all 123 atoms:
Na: 0.3697 0.3652 0.2494
Na: 0.6378 0.6347 0.7498
Na: 0.9970 0.3628 0.7497
Na: 0.3653 0.0029 0.7497
Na: 0.3008 0.3336 0.5828
Na: 0.0327 0.6991 0.5828
Na: 0.6665 0.9672 0.5828
Na: 0.3057 0.9695 0.0833
Na: 0.6639 0.6953 0.0833
Na: 0.0309 0.3360 0.0829
Na: 0.9641 0.6656 0.9179
Na: 0.7029 0.0345 0.9180
Na: 0.9668 0.2987 0.4155
Na: 0.3320 0.0339 0.4158
Na: 0.7012 0.6676 0.4154
Na: 0.0001 0.0001 0.4989
Na: 0.0068 0.0066 0.9984
Na: 0.6604 0.3329 0.8359
Na: 0.6729 0.3332 0.3295
Na: 0.3329 0.6723 0.1676
Na: 0.3333 0.6667 0.6651
Hf: 0.9989 0.9994 0.3505
Hf: 0.0048 0.0043 0.8533
Hf: 0.0002 0.0001 0.6488
Hf: 0.6670 0.3335 0.6848
Hf: 0.6713 0.3330 0.1874
Hf: 0.6615 0.3328 0.9807
Hf: 0.6666 0.3334 0.4802
Hf: 0.3330 0.6656 0.0186
Hf: 0.3332 0.6666 0.5177
Ta: 0.9992 0.9989 0.1495
Ta: 0.3332 0.6704 0.3110
Ta: 0.3340 0.6664 0.8157
Si: 0.2915 0.9978 0.2504
Si: 0.7071 0.7077 0.2508
Si: 0.9986 0.2926 0.2509
Si: 0.2932 0.2947 0.7500
Si: 0.0015 0.7074 0.7510
Si: 0.7059 0.9987 0.7508
Si: 0.9600 0.3331 0.5831
Si: 0.3732 0.0398 0.5832
Si: 0.6666 0.6269 0.5832
Si: 0.9580 0.6264 0.0833
Si: 0.6684 0.0426 0.0834
Si: 0.3737 0.3317 0.0852
Si: 0.6243 0.6641 0.9166
Si: 0.0419 0.3736 0.9171
Si: 0.3335 0.9596 0.9169
Si: 0.6238 0.9563 0.4159
Si: 0.3327 0.3765 0.4154
Si: 0.0438 0.6674 0.4158
O: 0.2052 0.0307 0.3078
O: 0.8214 0.7955 0.3085
O: 0.9760 0.1792 0.3088
O: 0.2026 0.1681 0.8048
O: 0.9662 0.7933 0.8076
O: 0.8265 0.0327 0.8075
O: 0.7882 0.9609 0.6928
O: 0.1738 0.2139 0.6918
O: 0.0392 0.8275 0.6929
O: 0.8036 0.8314 0.1930
O: 0.0322 0.1979 0.1935
O: 0.1680 0.9718 0.1926
O: 0.8739 0.3669 0.6410
O: 0.4930 0.1262 0.6410
O: 0.6332 0.5069 0.6410
O: 0.8684 0.5013 0.1382
O: 0.6314 0.1313 0.1383
O: 0.4923 0.3677 0.1422
O: 0.4596 0.2925 0.0284
O: 0.8394 0.5463 0.0246
O: 0.7075 0.1613 0.0245
O: 0.4603 0.1612 0.5258
O: 0.7010 0.5397 0.5258
O: 0.8386 0.2990 0.5258
O: 0.5391 0.7006 0.9735
O: 0.1571 0.4629 0.9746
O: 0.3007 0.8390 0.9739
O: 0.5407 0.8399 0.4746
O: 0.2996 0.4604 0.4740
O: 0.1603 0.7008 0.4744
O: 0.1433 0.6367 0.3609
O: 0.4940 0.8563 0.3610
O: 0.3633 0.5018 0.3590
O: 0.1394 0.4993 0.8595
O: 0.3602 0.8609 0.8592
O: 0.5028 0.6427 0.8589
O: 0.0247 0.8351 0.4104
O: 0.8108 0.9760 0.4107
O: 0.1650 0.1886 0.4108
O: 0.0146 0.1850 0.9104
O: 0.1602 0.9655 0.9097
O: 0.8088 0.8349 0.9094
O: 0.9767 0.1634 0.5892
O: 0.1866 0.0229 0.5893
O: 0.8365 0.8134 0.5893
O: 0.9774 0.8165 0.0918
O: 0.8390 0.0233 0.0922
O: 0.1830 0.1609 0.0920
O: 0.6843 0.1651 0.7444
O: 0.4812 0.3162 0.7443
O: 0.8349 0.5193 0.7444
O: 0.6769 0.5186 0.2434
O: 0.8352 0.3131 0.2438
O: 0.4716 0.1695 0.2429
O: 0.6488 0.5002 0.9201
O: 0.8579 0.3630 0.9201
O: 0.5100 0.1389 0.9202
O: 0.6385 0.1419 0.4208
O: 0.5034 0.3611 0.4210
O: 0.8581 0.4964 0.4208
O: 0.3509 0.4976 0.0777
O: 0.1475 0.6504 0.0777
O: 0.5026 0.8531 0.0774
O: 0.3556 0.8532 0.5782
O: 0.4976 0.6443 0.5782
O: 0.1468 0.5024 0.5782
O: 0.3060 0.8268 0.2576
O: 0.5176 0.6882 0.2575
O: 0.1778 0.4751 0.2574
O: 0.3109 0.4830 0.7582
O: 0.1722 0.6891 0.7583
O: 0.5165 0.8278 0.7579

Summary:
* MP2020-corrected energy: -8.110 eV per atom
* symmetry: No. 1
* theoretical density: 4.295 g/cm3
* VASP energy: -7.708 eV per atom
* E_form: -3.177 eV/atom

***

Compound: Na2In4SiS5O24
Source: Materials Project
Functional: PBE-GGA
Structure: relaxed

Lattice parameters (Å, degrees): 8.9312 8.9362 23.3948 89.43 90.33 119.79
Fractional coordinates of all 108 atoms:
Na: 0.9846 0.9792 0.5079
Na: 0.0006 0.0000 0.9970
Na: 0.6708 0.3184 0.8208
Na: 0.6434 0.3147 0.3338
Na: 0.3279 0.6838 0.1759
Na: 0.3739 0.6814 0.6648
In: 0.0099 0.9994 0.3510
In: 0.9865 0.0024 0.8429
In: 0.9786 0.9861 0.6484
In: 0.0076 0.9978 0.1538
In: 0.6654 0.3313 0.6818
In: 0.6575 0.3256 0.1870
In: 0.6673 0.3293 0.9818
In: 0.6650 0.3386 0.4869
In: 0.3323 0.6700 0.0161
In: 0.3463 0.6679 0.5206
In: 0.3342 0.6770 0.3173
In: 0.3433 0.6729 0.8114
Si: 0.2987 0.9981 0.2498
Si: 0.6996 0.0085 0.7508
Si: 0.6690 0.6282 0.5827
S: 0.7030 0.7043 0.2496
S: 0.0015 0.2971 0.2495
S: 0.2929 0.2918 0.7510
S: 0.0006 0.7034 0.7526
S: 0.9666 0.3340 0.5813
S: 0.3641 0.0334 0.5825
S: 0.9585 0.6261 0.0829
S: 0.6704 0.0344 0.0829
S: 0.3688 0.3348 0.0812
S: 0.6322 0.6666 0.9193
S: 0.0411 0.3723 0.9178
S: 0.3282 0.9650 0.9177
S: 0.6380 0.9717 0.4160
S: 0.3315 0.3719 0.4149
S: 0.0358 0.6614 0.4180
O: 0.2103 0.0255 0.3058
O: 0.8046 0.7889 0.3011
O: 0.9670 0.1858 0.3003
O: 0.2224 0.1909 0.8059
O: 0.9861 0.7833 0.8070
O: 0.7968 0.0376 0.8135
O: 0.7957 0.9830 0.6971
O: 0.1906 0.2011 0.7009
O: 0.0323 0.8139 0.7025
O: 0.7730 0.8114 0.1967
O: 0.0178 0.2173 0.1959
O: 0.1949 0.9693 0.1892
O: 0.8830 0.3484 0.6328
O: 0.4751 0.1080 0.6325
O: 0.6450 0.5152 0.6398
O: 0.8756 0.5203 0.1342
O: 0.6456 0.1168 0.1331
O: 0.4734 0.3586 0.1328
O: 0.4494 0.3109 0.0292
O: 0.8587 0.5452 0.0299
O: 0.6961 0.1364 0.0295
O: 0.4424 0.1304 0.5282
O: 0.6897 0.5503 0.5223
O: 0.8579 0.2988 0.5288
O: 0.5542 0.6905 0.9722
O: 0.1384 0.4508 0.9717
O: 0.3038 0.8657 0.9723
O: 0.5570 0.8646 0.4673
O: 0.3147 0.4571 0.4658
O: 0.1442 0.6822 0.4685
O: 0.1149 0.6446 0.3644
O: 0.5355 0.8956 0.3635
O: 0.3529 0.4752 0.3617
O: 0.1263 0.4801 0.8673
O: 0.3533 0.8795 0.8686
O: 0.5254 0.6430 0.8685
O: 0.0133 0.8165 0.4151
O: 0.8126 0.9883 0.4106
O: 0.1707 0.2010 0.4120
O: 0.0245 0.1991 0.9150
O: 0.1744 0.9864 0.9120
O: 0.8078 0.8186 0.9148
O: 0.0039 0.1898 0.5856
O: 0.1972 0.0293 0.5889
O: 0.8428 0.8192 0.5845
O: 0.9735 0.7991 0.0858
O: 0.8260 0.0143 0.0887
O: 0.1930 0.1820 0.0853
O: 0.6775 0.1783 0.7441
O: 0.4716 0.3247 0.7480
O: 0.8400 0.5351 0.7483
O: 0.7012 0.5380 0.2440
O: 0.8543 0.3301 0.2442
O: 0.4913 0.1719 0.2472
O: 0.6466 0.5066 0.9241
O: 0.8648 0.3546 0.9215
O: 0.4876 0.1390 0.9227
O: 0.6557 0.1460 0.4216
O: 0.4845 0.3475 0.4175
O: 0.8640 0.5030 0.4211
O: 0.3534 0.4941 0.0762
O: 0.1351 0.6456 0.0791
O: 0.5127 0.8602 0.0779
O: 0.3327 0.8543 0.5771
O: 0.4955 0.6495 0.5819
O: 0.1314 0.4986 0.5752
O: 0.3202 0.8263 0.2540
O: 0.5235 0.6704 0.2550
O: 0.1636 0.4642 0.2552
O: 0.2948 0.4595 0.7553
O: 0.1492 0.6728 0.7573
O: 0.5092 0.8318 0.7530

Summary:
* MP2020-corrected energy: -6.458 eV per atom
* symmetry: No. 1
* theoretical density: 3.313 g/cm3
* VASP energy: -6.000 eV per atom
* E_form: -2.055 eV/atom

***

Compound: Pr2Al3Ge4
Source: Materials Project
Functional: PBE-GGA
Structure: relaxed

Lattice parameters (Å, degrees): 8.1652 8.1652 8.0259 90.00 90.00 136.02
Fractional coordinates of all 18 atoms:
Pr: 0.1134 0.8866 0.4177
Pr: 0.8866 0.1134 0.5823
Pr: 0.3866 0.6134 0.9177
Pr: 0.6134 0.3866 0.0823
Al: 0.0000 0.0000 0.0000
Al: 0.5000 0.5000 0.5000
Al: 0.0323 0.4677 0.2500
Al: 0.4677 0.0323 0.7500
Al: 0.9677 0.5323 0.7500
Al: 0.5323 0.9677 0.2500
Ge: 0.2007 0.2993 0.2500
Ge: 0.2993 0.2007 0.7500
Ge: 0.7993 0.7007 0.7500
Ge: 0.7007 0.7993 0.2500
Ge: 0.1853 0.8147 0.0502
Ge: 0.8147 0.1853 0.9498
Ge: 0.3147 0.6853 0.5502
Ge: 0.6853 0.3147 0.4498

Summary:
* symmetry: No. 64
* theoretical density: 5.839 g/cm3
* VASP energy: -4.837 eV per atom
* E_form: -0.471 eV/atom